No. 1
Compound: Rb2NaEuCl6
Source: the Materials Project database
Functional: PBE
Structure: optimized geometry

Properties
Final energy = -4.37 eV/atom
Formation energy = -2.271 eV/atom
Size of the total moment = 0.6001 μB per atom
Corrected total energy (MP2020 scheme) = -4.734 eV per atom

Unit cell a=7.720 b=7.720 c=7.720 alpha=60.00 beta=60.00 gamma=60.00
Sites, in units of the cell vectors:
Cl (0.248, 0.752, 0.752)
Rb (0.250, 0.250, 0.250)
Cl (0.752, 0.752, 0.248)
Cl (0.752, 0.248, 0.248)
Rb (0.750, 0.750, 0.750)
Cl (0.248, 0.752, 0.248)
Na (0.500, 0.500, 0.500)
Cl (0.752, 0.248, 0.752)
Eu (0.000, 0.000, 0.000)
Cl (0.248, 0.248, 0.752)



No. 2
Compound: Mg6CrSn
Source: the Materials Project database
Functional: PBE
Structure: optimized geometry

Properties
Final energy = -2.83 eV/atom
Formation energy = 0.077 eV/atom
Size of the total moment = 0.4870 μB per atom

Unit cell a=5.040 b=6.216 c=11.004 alpha=90.00 beta=90.00 gamma=90.00
Sites, in units of the cell vectors:
Sn (0.500, 0.500, 0.668)
Mg (0.000, 0.000, 0.829)
Mg (0.000, 0.241, 0.584)
Mg (0.000, 0.500, 0.329)
Cr (0.500, 0.500, 0.167)
Cr (0.500, 0.000, 0.667)
Mg (0.000, 0.259, 0.084)
Mg (0.000, 0.759, 0.584)
Mg (0.000, 0.741, 0.084)
Mg (0.500, 0.750, 0.417)
Sn (0.500, 0.000, 0.168)
Mg (0.000, 0.500, 0.836)
Mg (0.500, 0.250, 0.417)
Mg (0.000, 0.000, 0.336)
Mg (0.500, 0.250, 0.917)
Mg (0.500, 0.750, 0.917)



No. 3
Compound: NdAu
Source: the Materials Project database
Functional: PBE
Structure: optimized geometry

Properties
Final energy = -4.83 eV/atom
Formation energy = -0.807 eV/atom

Unit cell a=3.891 b=4.797 c=6.007 alpha=90.00 beta=108.90 gamma=90.00
Sites, in units of the cell vectors:
Au (0.586, 0.250, 0.172)
Nd (0.862, 0.250, 0.723)
Nd (0.138, 0.750, 0.277)
Au (0.414, 0.750, 0.828)



No. 4
Compound: InRe2C10ClO10
Source: the Materials Project database
Functional: PBE
Structure: optimized geometry

Properties
Final energy = -7.86 eV/atom
Formation energy = -1.015 eV/atom
Size of the total moment = 0.0000 μB per atom
Corrected total energy (MP2020 scheme) = -8.150 eV per atom

Unit cell a=13.039 b=10.735 c=25.640 alpha=82.91 beta=90.00 gamma=90.00
Sites, in units of the cell vectors:
C (0.479, 0.574, 0.346)
Cl (0.339, 0.088, 0.694)
C (0.301, 0.592, 0.857)
C (0.855, 0.321, 0.220)
C (0.876, 0.508, 0.461)
C (0.159, 0.233, 0.022)
C (0.739, 0.709, 0.202)
Re (0.362, 0.691, 0.326)
O (0.081, 0.633, 0.758)
C (0.376, 0.992, 0.039)
C (0.026, 0.270, 0.594)
Re (0.667, 0.177, 0.931)
Re (0.833, 0.677, 0.431)
O (0.172, 0.694, 0.648)
In (0.206, 0.995, 0.766)
C (0.298, 0.873, 0.139)
C (0.642, 0.248, 0.999)
C (0.199, 0.092, 0.357)
O (0.725, 0.096, 0.821)
C (0.699, 0.408, 0.143)
C (0.521, 0.426, 0.654)
O (0.419, 0.133, 0.258)
C (0.715, 0.743, 0.885)
O (0.518, 0.130, 0.367)
O (0.047, 0.994, 0.143)
C (0.358, 0.752, 0.001)
O (0.631, 0.666, 0.593)
O (0.953, 0.006, 0.857)
O (0.775, 0.596, 0.321)
O (0.606, 0.306, 0.284)
C (0.686, 0.652, 0.452)
O (0.894, 0.806, 0.784)
O (0.583, 0.600, 0.006)
O (0.917, 0.100, 0.506)
O (0.979, 0.699, 0.278)
C (0.562, 0.239, 0.740)
C (0.159, 0.889, 0.517)
O (0.521, 0.199, 0.778)
O (0.482, 0.870, 0.633)
Cl (0.085, 0.985, 0.685)
In (0.294, 0.495, 0.266)
C (0.841, 0.111, 0.483)
O (0.870, 0.847, 0.000)
O (0.725, 0.952, 0.085)
Re (0.766, 0.750, 0.685)
C (0.116, 0.347, 0.339)
O (0.369, 0.334, 0.407)
C (0.979, 0.926, 0.154)
O (0.179, 0.998, 0.383)
C (0.062, 0.261, 0.760)
O (0.945, 0.242, 0.609)
C (0.647, 0.993, 0.490)
C (0.589, 0.130, 0.394)
C (0.353, 0.007, 0.510)
O (0.612, 0.912, 0.518)
O (0.401, 0.092, 0.021)
Cl (0.915, 0.015, 0.315)
C (0.355, 0.179, 0.280)
C (0.616, 0.153, 0.161)
C (0.021, 0.074, 0.846)
C (0.341, 0.733, 0.522)
O (0.549, 0.095, 0.146)
O (0.394, 0.694, 0.716)
O (0.275, 0.904, 0.179)
C (0.858, 0.748, 0.499)
Cl (0.161, 0.588, 0.194)
O (0.130, 0.153, 0.000)
O (0.399, 0.360, 0.536)
C (0.147, 0.507, 0.010)
C (0.847, 0.784, 0.748)
C (0.285, 0.257, 0.115)
Re (0.734, 0.250, 0.185)
In (0.794, 0.005, 0.234)
O (0.388, 0.088, 0.482)
C (0.411, 0.870, 0.606)
O (0.099, 0.592, 0.521)
C (0.761, 0.209, 0.702)
C (0.276, 0.602, 0.383)
C (0.814, 0.152, 0.952)
C (0.798, 0.627, 0.361)
O (0.899, 0.140, 0.964)
O (0.106, 0.194, 0.216)
C (0.592, 0.186, 0.629)
O (0.018, 0.370, 0.133)
C (0.239, 0.791, 0.298)
O (0.131, 0.834, 0.907)
In (0.706, 0.505, 0.734)
O (0.670, 0.649, 0.219)
O (0.888, 0.412, 0.018)
O (0.901, 0.408, 0.479)
O (0.453, 0.494, 0.643)
O (0.434, 0.885, 0.399)
Re (0.789, 0.631, 0.941)
C (0.938, 0.739, 0.240)
O (0.330, 0.351, 0.781)
C (0.384, 0.847, 0.839)
In (0.720, 0.428, 0.888)
O (0.371, 0.711, 0.962)
O (0.021, 0.301, 0.722)
C (0.124, 0.492, 0.539)
C (0.474, 0.770, 0.094)
C (0.320, 0.302, 0.373)
Re (0.138, 0.191, 0.826)
O (0.066, 0.385, 0.899)
C (0.341, 0.389, 0.017)
C (0.776, 0.898, 0.117)
Re (0.167, 0.323, 0.569)
O (0.479, 0.801, 0.222)
O (0.055, 0.758, 0.391)
O (0.566, 0.115, 0.601)
In (0.220, 0.072, 0.612)
C (0.908, 0.686, 0.129)
O (0.601, 0.640, 0.464)
Cl (0.661, 0.912, 0.306)
C (0.801, 0.908, 0.643)
C (0.853, 0.493, 0.990)
O (0.630, 0.347, 0.500)
O (0.445, 0.258, 0.891)
O (0.547, 0.506, 0.357)
O (0.225, 0.404, 0.679)
C (0.224, 0.102, 0.883)
C (0.820, 0.198, 0.127)
O (0.581, 0.867, 0.742)
C (0.785, 0.243, 0.385)
O (0.170, 0.851, 0.281)
Cl (0.415, 0.485, 0.185)
C (0.659, 0.611, 0.983)
O (0.275, 0.048, 0.915)
C (0.702, 0.127, 0.861)
Re (0.211, 0.369, 0.059)
O (0.599, 0.908, 0.979)
O (0.328, 0.194, 0.148)
O (0.112, 0.588, 0.982)
C (0.145, 0.679, 0.780)
O (0.370, 0.653, 0.500)
O (0.629, 0.289, 0.038)
Re (0.266, 0.750, 0.815)
O (0.129, 0.211, 0.462)
C (0.624, 0.008, 0.961)
C (0.142, 0.252, 0.501)
C (0.261, 0.291, 0.798)
Cl (0.839, 0.412, 0.806)
O (0.417, 0.400, 0.994)
C (0.653, 0.284, 0.248)
C (0.215, 0.757, 0.615)
C (0.186, 0.848, 0.048)
In (0.780, 0.928, 0.388)
Re (0.333, 0.823, 0.069)
O (0.919, 0.367, 0.242)
C (0.884, 0.653, 0.661)
Re (0.638, 0.309, 0.674)
C (0.680, 0.698, 0.627)
O (0.672, 0.806, 0.852)
O (0.934, 0.615, 0.101)
O (0.871, 0.789, 0.538)
O (0.830, 0.149, 0.719)
O (0.555, 0.742, 0.109)
C (0.974, 0.730, 0.406)
In (0.280, 0.572, 0.112)
O (0.451, 0.905, 0.854)
C (0.526, 0.230, 0.906)
C (0.092, 0.314, 0.871)
C (0.724, 0.398, 0.617)
C (0.314, 0.348, 0.548)
C (0.089, 0.370, 0.106)
C (0.408, 0.814, 0.371)
O (0.225, 0.548, 0.415)
O (0.101, 0.860, 0.036)
C (0.180, 0.802, 0.873)
O (0.775, 0.452, 0.585)
O (0.049, 0.405, 0.354)
O (0.869, 0.166, 0.093)
O (0.321, 0.498, 0.883)
Re (0.711, 0.131, 0.441)
C (0.202, 0.373, 0.639)
Re (0.289, 0.869, 0.559)
C (0.911, 0.630, 0.894)
C (0.438, 0.761, 0.260)
C (0.347, 0.716, 0.752)
O (0.828, 0.306, 0.352)
O (0.951, 0.595, 0.646)
Re (0.234, 0.250, 0.315)
C (0.645, 0.821, 0.720)
O (0.083, 0.900, 0.494)
Cl (0.585, 0.515, 0.815)
C (0.841, 0.767, 0.978)
C (0.153, 0.216, 0.252)
O (0.679, 0.502, 0.117)
O (0.982, 0.630, 0.867)
O (0.821, 0.002, 0.617)
Re (0.862, 0.809, 0.174)
C (0.659, 0.267, 0.478)



No. 5
Compound: Na7Al4SiP5O24
Source: the Materials Project database
Functional: PBE
Structure: optimized geometry

Properties
Final energy = -6.75 eV/atom
Formation energy = -2.877 eV/atom
Size of the total moment = 0.0000 μB per atom
Corrected total energy (MP2020 scheme) = -7.157 eV per atom

Unit cell a=8.636 b=8.635 c=21.577 alpha=90.15 beta=89.71 gamma=120.02
Sites, in units of the cell vectors:
P (0.333, 0.960, 0.917)
O (0.834, 0.798, 0.306)
Si (0.711, 0.000, 0.750)
O (0.360, 0.502, 0.076)
O (0.540, 0.839, 0.475)
O (0.306, 0.829, 0.258)
O (0.024, 0.187, 0.910)
O (0.975, 0.166, 0.590)
O (0.857, 0.356, 0.923)
O (0.536, 0.702, 0.975)
P (0.667, 0.046, 0.083)
O (0.364, 0.495, 0.358)
Al (0.000, 0.999, 0.649)
Na (0.662, 0.331, 0.834)
O (0.970, 0.171, 0.308)
O (0.298, 0.463, 0.474)
O (0.632, 0.504, 0.642)
O (0.171, 0.965, 0.193)
O (0.145, 0.500, 0.575)
O (0.369, 0.873, 0.859)
O (0.167, 0.191, 0.410)
O (0.626, 0.128, 0.140)
O (0.206, 0.036, 0.308)
O (0.502, 0.130, 0.643)
O (0.463, 0.170, 0.523)
O (0.127, 0.630, 0.359)
O (0.162, 0.702, 0.474)
O (0.965, 0.795, 0.808)
Na (0.365, 0.366, 0.250)
O (0.462, 0.293, 0.027)
Al (0.002, 0.007, 0.852)
O (0.505, 0.144, 0.925)
Na (0.302, 0.330, 0.583)
Na (0.667, 0.333, 0.333)
P (0.048, 0.376, 0.916)
Na (0.967, 0.665, 0.918)
O (0.814, 0.979, 0.409)
O (0.028, 0.838, 0.409)
O (0.875, 0.374, 0.641)
Na (0.336, 0.671, 0.667)
P (0.619, 0.662, 0.917)
Al (0.662, 0.336, 0.482)
Al (0.336, 0.672, 0.518)
O (0.189, 0.168, 0.091)
O (0.298, 0.838, 0.974)
O (0.793, 0.828, 0.192)
P (0.999, 0.711, 0.750)
O (0.157, 0.646, 0.075)
Na (0.997, 0.995, 0.499)
Al (0.998, 0.995, 0.149)
O (0.038, 0.830, 0.693)
Na (0.336, 0.672, 0.167)
P (0.955, 0.334, 0.583)
O (0.833, 0.809, 0.590)
O (0.837, 0.038, 0.811)
O (0.869, 0.496, 0.144)
O (0.502, 0.357, 0.423)
O (0.162, 0.463, 0.975)
P (0.288, 0.289, 0.750)
Na (0.335, 0.033, 0.418)
Na (0.670, 0.699, 0.083)
P (0.996, 0.285, 0.250)
O (0.830, 0.536, 0.023)
Na (0.035, 0.702, 0.583)
O (0.165, 0.687, 0.758)
Al (0.994, 0.995, 0.351)
O (0.702, 0.163, 0.025)
P (0.624, 0.953, 0.416)
O (0.176, 0.021, 0.592)
Al (0.664, 0.325, 0.685)
O (0.511, 0.822, 0.758)
Na (0.635, 0.638, 0.750)
Al (0.664, 0.337, 0.982)
O (0.691, 0.179, 0.744)
P (0.379, 0.333, 0.084)
Al (0.339, 0.672, 0.315)
O (0.799, 0.961, 0.689)
O (0.496, 0.369, 0.142)
O (0.519, 0.687, 0.258)
O (0.498, 0.639, 0.576)
O (0.171, 0.208, 0.692)
Al (0.670, 0.331, 0.185)
Na (0.700, 0.032, 0.916)
O (0.501, 0.856, 0.075)
Na (0.370, 0.001, 0.749)
Si (0.375, 0.042, 0.583)
O (0.836, 0.027, 0.091)
Al (0.329, 0.665, 0.018)
Si (0.957, 0.623, 0.083)
O (0.477, 0.171, 0.242)
Na (0.968, 0.301, 0.416)
O (0.856, 0.495, 0.425)
O (0.645, 0.144, 0.423)
O (0.705, 0.537, 0.527)
Na (0.032, 0.336, 0.084)
Na (0.664, 0.967, 0.585)
O (0.688, 0.523, 0.243)
O (0.809, 0.832, 0.910)
O (0.306, 0.476, 0.758)
O (0.035, 0.203, 0.192)
O (0.831, 0.524, 0.742)
P (0.293, 0.001, 0.250)
Na (0.005, 0.003, 0.999)
O (0.837, 0.299, 0.525)
O (0.979, 0.823, 0.091)
Al (0.339, 0.670, 0.815)
O (0.505, 0.634, 0.859)
O (0.166, 0.476, 0.257)
P (0.667, 0.620, 0.583)
Na (0.998, 0.633, 0.249)
O (0.499, 0.869, 0.361)
P (0.040, 0.666, 0.416)
P (0.338, 0.381, 0.416)
O (0.478, 0.314, 0.743)
O (0.643, 0.497, 0.923)
Na (0.997, 0.362, 0.751)
O (0.162, 0.973, 0.909)
O (0.831, 0.310, 0.244)
P (0.709, 0.714, 0.250)
O (0.131, 0.499, 0.859)
O (0.354, 0.843, 0.575)
Na (0.299, 0.966, 0.083)
O (0.205, 0.165, 0.806)



No. 6
Compound: Zr3Sc4O12
Source: the Materials Project database
Functional: PBE
Structure: optimized geometry

Properties
Final energy = -9.25 eV/atom
Formation energy = -3.872 eV/atom
Offset from the most stable computed form = 5 meV per atom
Size of the total moment = 0.0001 μB per atom
Corrected total energy (MP2020 scheme) = -9.679 eV per atom

Unit cell a=6.217 b=6.241 c=12.457 alpha=99.54 beta=99.41 gamma=99.55
Sites, in units of the cell vectors:
O (0.942, 0.318, 0.551)
O (0.581, 0.418, 0.410)
O (0.904, 0.063, 0.839)
O (0.179, 0.416, 0.287)
O (0.101, 0.940, 0.160)
Sc (0.678, 0.856, 0.196)
Sc (0.140, 0.607, 0.159)
O (0.819, 0.579, 0.211)
O (0.911, 0.061, 0.338)
Zr (0.998, 0.994, 0.000)
Sc (0.393, 0.672, 0.427)
Zr (0.139, 0.607, 0.658)
O (0.938, 0.323, 0.047)
O (0.064, 0.675, 0.456)
Zr (0.610, 0.317, 0.069)
O (0.819, 0.584, 0.712)
O (0.423, 0.820, 0.292)
O (0.321, 0.101, 0.471)
Sc (0.862, 0.395, 0.340)
O (0.676, 0.901, 0.530)
O (0.060, 0.680, 0.950)
O (0.576, 0.181, 0.708)
O (0.571, 0.178, 0.210)
Zr (0.686, 0.869, 0.696)
O (0.421, 0.578, 0.591)
Sc (0.320, 0.147, 0.805)
Sc (0.862, 0.396, 0.842)
O (0.425, 0.822, 0.789)
Sc (0.393, 0.682, 0.932)
Zr (0.997, 0.996, 0.496)
O (0.676, 0.912, 0.032)
Zr (0.315, 0.138, 0.306)
O (0.087, 0.936, 0.662)
O (0.321, 0.100, 0.970)
Sc (0.608, 0.320, 0.570)
O (0.420, 0.573, 0.090)
O (0.581, 0.424, 0.910)
O (0.180, 0.421, 0.785)



No. 7
Compound: TmAs
Source: the Materials Project database
Functional: PBE
Structure: optimized geometry

Properties
Final energy = -6.07 eV/atom
Formation energy = -1.499 eV/atom

Unit cell a=4.067 b=4.067 c=4.067 alpha=60.00 beta=60.00 gamma=60.00
Sites, in units of the cell vectors:
As (0.000, 0.000, 0.000)
Tm (0.500, 0.500, 0.500)



No. 8
Compound: MgMoW2Se4S2
Source: the Materials Project database
Functional: PBE
Structure: optimized geometry

Properties
Final energy = -6.60 eV/atom
Formation energy = -0.636 eV/atom
Offset from the most stable computed form = 31 meV per atom
Size of the total moment = 0.0011 μB per atom
Corrected total energy (MP2020 scheme) = -6.698 eV per atom

Unit cell a=3.271 b=3.271 c=30.220 alpha=90.00 beta=90.00 gamma=120.00
Sites, in units of the cell vectors:
Mo (0.667, 0.333, 0.347)
Se (0.333, 0.667, 0.403)
Se (0.333, 0.667, 0.291)
W (0.333, 0.667, 0.578)
Se (0.667, 0.333, 0.635)
S (0.667, 0.333, 0.065)
Mg (0.728, 0.380, 0.853)
W (0.333, 0.667, 0.116)
Se (0.667, 0.333, 0.522)
S (0.667, 0.333, 0.167)